## Li7Mn2Co3O12 (PBE+U)

Data for an optimized crystal structure of Li7Mn2Co3O12.

Output
Its total energy after the MP2020 corrections is -157.044 eV per cell. The formation energy is -1.86 eV per atom. The calculation puts the energy at -5.86 eV per atom. The energy above the most stable polymorph in this dataset comes out at 73 meV/atom. As for the space-group type: No. 1. Its mass density is 4.03 Mg/m³.

a b c (Å): 2.9074 8.3575 9.8490
angles (deg): 65.15 88.14 89.90
Closest atoms and distances in Å follow each position.
Fractional positions:
Li (0.0000, 0.0000, 0.0000)  6 O 2.06-2.20
Li (0.0021, 0.5100, 0.9995)  5 O 2.00-2.20
Li (0.0130, 0.1652, 0.6672)  4 O 1.99-2.22
Li (0.4844, 0.6932, 0.1471)  4 O 2.03-2.23
Li (0.4886, 0.3168, 0.8311)  5 O 2.02-2.24
Li (0.5243, 0.0042, 0.5043)  5 O 2.06-2.14
Li (0.9636, 0.8450, 0.3112)  5 O 1.98-2.20
Mn (0.0116, 0.6735, 0.6642)  6 O 1.90-1.99
Mn (0.4781, 0.1633, 0.1587)  5 O 1.83-1.99
Co (0.5015, 0.8585, 0.8374)  3 O 1.80-1.99
Co (0.5066, 0.5036, 0.4942)  6 O 1.91-2.10
Co (0.9823, 0.3422, 0.3248)  6 O 1.92-2.08
O (0.0112, 0.8993, 0.6669)  1 Mn 1.90, 2 Li 2.06-2.07, 1 Co 2.12
O (0.0210, 0.4414, 0.6519)  2 Co 1.96-2.09, 1 Mn 1.99, 1 Li 2.16
O (0.4661, 0.4042, 0.1729)  2 Co 1.92-2.06, 1 Mn 2.08, 1 Li 2.10
O (0.4798, 0.9424, 0.1629)  1 Mn 1.83, 2 Li 1.98
O (0.4992, 0.2664, 0.4797)  3 Co 1.94-2.08, 2 Li 2.10-2.15
O (0.4999, 0.5992, 0.8085)  2 Mn 1.94-1.95
O (0.5010, 0.0809, 0.8205)  1 Co 1.80, 2 Li 1.99-2.01
O (0.5216, 0.7425, 0.5166)  2 Mn 1.95-1.97, 1 Co 2.10, 1 Li 2.14
O (0.9653, 0.1017, 0.3089)  2 Mn 1.97-1.99, 1 Co 2.08, 2 Li 2.13-2.14
O (0.9828, 0.5807, 0.3413)  3 Co 1.91-2.08, 1 Li 2.10
O (0.9892, 0.2486, 0.0145)  2 Mn 1.94-1.95, 3 Li 2.13-2.16
O (0.9910, 0.7556, 0.9853)  2 Co 1.97-1.99, 4 Li 2.00-2.11

=====

## Li7Mn4CoO12 (PBE+U)

Data for an optimized crystal structure of Li7Mn4CoO12.

Output
Its total energy after the MP2020 corrections is -166.181 eV per cell. The formation energy is -2.07 eV per atom. The calculation puts the energy at -6.23 eV per atom. The energy above the most stable polymorph in this dataset comes out at 14 meV/atom. As for the space-group type: No. 1. Its mass density is 3.98 Mg/m³.

a b c (Å): 5.8967 5.9522 6.5423
angles (deg): 76.74 75.89 88.40
Closest atoms and distances in Å follow each position.
Fractional positions:
Li (0.0000, 0.0000, 0.0000)  5 O 2.05-2.24
Li (0.0015, 0.5193, 0.9908)  5 O 2.04-2.16
Li (0.3372, 0.3393, 0.6782)  6 O 2.04-2.19
Li (0.3410, 0.8480, 0.6779)  5 O 2.05-2.24
Li (0.6692, 0.6847, 0.3457)  5 O 2.03-2.26
Li (0.6708, 0.1617, 0.3549)  5 O 2.03-2.22
Li (0.8337, 0.8414, 0.6774)  6 O 2.08-2.15
Mn (0.1680, 0.1699, 0.3447)  6 O 1.92-2.01
Mn (0.1676, 0.6787, 0.3397)  4 O 1.93-2.02
Mn (0.5087, 0.5122, 0.0054)  6 O 1.91-2.00
Mn (0.8327, 0.3376, 0.6741)  6 O 1.92-1.99
Co (0.5135, 0.0060, 0.0042)  6 O 2.00-2.19
O (0.0724, 0.5764, 0.6505)  2 Mn 1.93-1.99, 3 Li 2.09-2.11
O (0.0772, 0.1085, 0.6597)  2 Mn 1.95-1.96, 4 Li 2.11-2.17
O (0.2609, 0.7373, 0.0173)  2 Mn 1.95-2.00, 3 Li 2.10-2.17, 1 Co 2.19
O (0.2685, 0.2693, 0.0305)  2 Mn 1.95-2.00, 1 Co 2.11, 1 Li 2.16
O (0.3978, 0.4227, 0.3250)  3 Mn 1.98-2.02, 2 Li 2.19-2.22
O (0.4090, 0.9470, 0.3468)  1 Mn 1.92, 2 Li 2.05, 1 Co 2.12
O (0.5919, 0.5731, 0.6931)  2 Mn 1.93-1.97, 3 Li 2.11-2.15
O (0.6024, 0.1115, 0.6822)  1 Mn 1.92, 1 Co 2.00, 3 Li 2.03-2.08
O (0.7277, 0.7361, 0.0194)  1 Mn 1.91, 1 Co 2.01, 3 Li 2.03-2.12
O (0.7533, 0.2843, 0.9876)  2 Mn 1.94-1.95, 1 Li 2.06
O (0.9190, 0.3964, 0.3604)  2 Mn 1.94-1.97, 1 Li 2.06
O (0.9548, 0.9372, 0.3298)  2 Mn 1.93-1.96, 3 Li 2.05-2.15

=====

## Li5MnCo2O8 (PBE+U)

Data for an optimized crystal structure of Li5MnCo2O8.

Output
Its total energy after the MP2020 corrections is -101.964 eV per cell. The formation energy is -1.84 eV per atom. The calculation puts the energy at -5.72 eV per atom. The energy above the most stable polymorph in this dataset comes out at 45 meV/atom. As for the space-group type: No. 8. Its mass density is 3.96 Mg/m³.

a b c (Å): 5.1089 5.1089 10.0162
angles (deg): 101.57 101.57 33.44
Closest atoms and distances in Å follow each position.
Fractional positions:
Li (0.0000, 0.0000, 0.0000)  4 O 2.02-2.15
Li (0.0034, 0.0034, 0.5121)  6 O 1.98-2.15
Li (0.2426, 0.2426, 0.8846)  6 O 2.00-2.18
Li (0.4958, 0.4958, 0.2622)  6 O 2.03-2.23
Li (0.5075, 0.5075, 0.7648)  6 O 2.05-2.17
Mn (0.7458, 0.7458, 0.1266)  6 O 1.83-2.01
Co (0.2553, 0.2553, 0.3901)  6 O 1.89-2.04
Co (0.7525, 0.7525, 0.6464)  1 O 1.72
O (0.1371, 0.1371, 0.6906)  2 Co 1.96, 4 Li 1.98-2.17
O (0.1397, 0.1397, 0.1968)  2 Mn 2.01, 1 Co 2.03, 3 Li 2.15-2.23
O (0.3581, 0.3581, 0.0805)  2 Mn 1.95, 2 Li 2.03-2.05
O (0.3657, 0.3657, 0.5690)  3 Co 1.89-2.08
O (0.6271, 0.6271, 0.9596)  1 Mn 1.83, 2 Li 2.02
O (0.6416, 0.6416, 0.4568)  3 Co 1.98-2.04, 3 Li 2.15-2.16
O (0.8635, 0.8635, 0.3169)  1 Mn 2.01, 2 Co 2.04, 3 Li 2.11-2.14
O (0.8670, 0.8670, 0.8022)  1 Co 1.72

=====

## Li5Mn2CoO8 (PBE+U)

Data for an optimized crystal structure of Li5Mn2CoO8.

Output
Its total energy after the MP2020 corrections is -213.918 eV per cell. The formation energy is -2.02 eV per atom. The calculation puts the energy at -6.03 eV per atom. The energy above the most stable polymorph in this dataset comes out at 9 meV/atom. As for the space-group type: No. 12. Its mass density is 3.94 Mg/m³.

a b c (Å): 5.8730 5.8730 10.2733
angles (deg): 108.90 108.90 58.22
Closest atoms and distances in Å follow each position.
Fractional positions:
Li (0.0000, 0.0000, 0.0000)  6 O 2.03-2.14
Li (0.2501, 0.2501, 0.2496)  6 O 2.02-2.18
Li (0.2500, 0.2500, 0.7500)  6 O 2.05-2.12
Li (0.2499, 0.7501, 0.2503)  6 O 2.11-2.32
Li (0.2499, 0.7501, 0.7497)  6 O 2.11-2.32
Li (0.5000, 0.5000, 0.5000)  6 O 2.03-2.14
Li (0.7501, 0.2499, 0.2503)  6 O 2.11-2.32
Li (0.7501, 0.2499, 0.7497)  6 O 2.11-2.32
Li (0.7500, 0.7500, 0.2500)  6 O 2.05-2.12
Li (0.7499, 0.7499, 0.7504)  6 O 2.02-2.18
Mn (0.0000, 0.5000, 0.0000)  6 O 1.94-1.95
Mn (0.0000, 0.5000, 0.5000)  6 O 1.95
Mn (0.5000, 0.0000, 0.0000)  6 O 1.94-1.95
Mn (0.5000, 0.0000, 0.5000)  6 O 1.95
Co (0.0000, 0.0000, 0.5000)  4 O 1.90
Co (0.5000, 0.5000, 0.0000)  4 O 1.91
O (0.1075, 0.6393, 0.3949)  1 Co 1.90, 1 Mn 1.95, 2 Li 2.03-2.05
O (0.1360, 0.1360, 0.8851)  2 Mn 1.94, 4 Li 2.12-2.14
O (0.1371, 0.6078, 0.8946)  1 Co 1.91, 1 Mn 1.94, 2 Li 2.03-2.05
O (0.1422, 0.1422, 0.3790)  2 Mn 1.95, 3 Li 2.02-2.12
O (0.3584, 0.3584, 0.1209)  2 Mn 1.95, 3 Li 2.02-2.12
O (0.3607, 0.8925, 0.6051)  1 Co 1.90, 1 Mn 1.95, 2 Li 2.03-2.05
O (0.3642, 0.3642, 0.6152)  2 Mn 1.95, 4 Li 2.11-2.14
O (0.3922, 0.8629, 0.1054)  1 Co 1.91, 1 Mn 1.94, 2 Li 2.03-2.05
O (0.6078, 0.1371, 0.8946)  1 Co 1.91, 1 Mn 1.94, 2 Li 2.03-2.05
O (0.6358, 0.6358, 0.3848)  2 Mn 1.95, 4 Li 2.11-2.14
O (0.6393, 0.1075, 0.3949)  1 Co 1.90, 1 Mn 1.95, 2 Li 2.03-2.05
O (0.6416, 0.6416, 0.8791)  2 Mn 1.95, 3 Li 2.02-2.12
O (0.8578, 0.8578, 0.6210)  2 Mn 1.95, 3 Li 2.02-2.12
O (0.8629, 0.3922, 0.1054)  1 Co 1.91, 1 Mn 1.94, 2 Li 2.03-2.05
O (0.8640, 0.8640, 0.1149)  2 Mn 1.94, 4 Li 2.12-2.14
O (0.8925, 0.3607, 0.6051)  1 Co 1.90, 1 Mn 1.95, 2 Li 2.03-2.05

=====

## Li4MnCo2O7 (PBE+U)

Data for an optimized crystal structure of Li4MnCo2O7.

Output
Its total energy after the MP2020 corrections is -181.793 eV per cell. The formation energy is -1.80 eV per atom. The calculation puts the energy at -5.80 eV per atom. The energy above the most stable polymorph in this dataset comes out at 81 meV/atom. As for the space-group type: No. 1. Its mass density is 4.21 Mg/m³.

a b c (Å): 5.0524 5.1191 10.4147
angles (deg): 85.00 76.58 70.43
Closest atoms and distances in Å follow each position.
Fractional positions:
Li (0.0000, 0.0000, 0.0000)  6 O 2.05-2.11
Li (0.0624, 0.4992, 0.8686)  6 O 2.10-2.20
Li (0.2131, 0.4980, 0.5703)  6 O 2.08-2.21
Li (0.3632, 0.4975, 0.2844)  6 O 2.04-2.16
Li (0.4936, 0.5027, 0.0029)  6 O 2.05-2.23
Li (0.6368, 0.4980, 0.7196)  6 O 2.02-2.21
Li (0.7921, 0.4965, 0.4270)  6 O 2.09-2.24
Li (0.9357, 0.5032, 0.1386)  6 O 2.11-2.24
Mn (0.1364, 0.0003, 0.7234)  6 O 1.89-2.02
Mn (0.4328, 0.9937, 0.1371)  6 O 1.90-2.00
Co (0.2874, 0.9946, 0.4289)  6 O 2.00-2.08
Co (0.5677, 0.9996, 0.8604)  6 O 1.94-1.98
Co (0.7100, 0.0017, 0.5706)  6 O 1.90-2.09
Co (0.8637, 0.9984, 0.2782)  5 O 1.88-2.05
O (0.0238, 0.7665, 0.4288)  3 Co 2.02-2.04, 3 Li 2.09-2.16
O (0.1309, 0.2230, 0.2812)  2 Co 2.00-2.05, 1 Mn 2.00, 3 Li 2.12-2.18
O (0.1917, 0.7677, 0.1468)  1 Mn 1.92, 1 Co 1.98, 3 Li 2.04-2.08
O (0.2810, 0.2252, 0.0011)  1 Mn 1.90, 1 Co 1.94, 3 Li 2.05-2.11
O (0.3230, 0.7751, 0.8507)  1 Mn 1.89, 1 Co 1.97, 2 Li 2.05-2.07
O (0.3831, 0.2210, 0.7229)  1 Mn 1.94, 2 Co 1.96-2.09, 2 Li 2.16-2.17
O (0.4420, 0.7708, 0.5781)  2 Co 2.00-2.06, 1 Mn 2.02, 2 Li 2.11-2.12
O (0.5458, 0.2321, 0.4364)  2 Co 1.90-2.08, 2 Li 2.08-2.11
O (0.5977, 0.7682, 0.2829)  1 Mn 1.99, 2 Co 2.02-2.05, 3 Li 2.10-2.15
O (0.6742, 0.2215, 0.1517)  1 Co 1.88, 1 Mn 1.99, 2 Li 2.05-2.08
O (0.7214, 0.7706, 0.0020)  1 Mn 1.90, 1 Co 1.94, 4 Li 2.06-2.11
O (0.8241, 0.2214, 0.8492)  1 Mn 1.89, 1 Co 1.97, 2 Li 2.02-2.05
O (0.8812, 0.7835, 0.7193)  1 Mn 1.97, 2 Co 1.98-2.02, 2 Li 2.18-2.21
O (0.9793, 0.2247, 0.5753)  1 Mn 1.99, 2 Co 2.03-2.06, 3 Li 2.10-2.18

=====

## LiMn2CoO6 (PBE+U)

Data for an optimized crystal structure of LiMn2CoO6.

Output
Its total energy after the MP2020 corrections is -74.694 eV per cell. The formation energy is -1.77 eV per atom. The calculation puts the energy at -6.56 eV per atom. As for the space-group type: No. 12. Its mass density is 4.20 Mg/m³.

a b c (Å): 6.5499 6.5499 5.9137
angles (deg): 103.96 103.96 25.93
Closest atoms and distances in Å follow each position.
Fractional positions:
Li (0.0000, 0.0000, 0.0000)  6 O 2.14-2.17
Mn (0.3315, 0.3315, 0.1804)  6 O 1.90-1.98
Mn (0.6685, 0.6685, 0.8196)  6 O 1.90-1.98
Co (0.0000, 0.0000, 0.5000)  6 O 1.92-2.04
O (0.1549, 0.1549, 0.6017)  1 Co 1.92, 2 Mn 1.93
O (0.1735, 0.1735, 0.0429)  3 Mn 1.97-1.98, 1 Li 2.17
O (0.4847, 0.4847, 0.2541)  1 Mn 1.90, 2 Co 2.04
O (0.5153, 0.5153, 0.7459)  1 Mn 1.90, 2 Co 2.04
O (0.8265, 0.8265, 0.9571)  3 Mn 1.97-1.98, 1 Li 2.17
O (0.8451, 0.8451, 0.3983)  1 Co 1.92, 2 Mn 1.93

=====

## Li7Mn2Co3O12 (PBE+U)

Data for an optimized crystal structure of Li7Mn2Co3O12.

Output
Its total energy after the MP2020 corrections is -157.820 eV per cell. The formation energy is -1.89 eV per atom. The calculation puts the energy at -5.89 eV per atom. The energy above the most stable polymorph in this dataset comes out at 40 meV/atom. As for the space-group type: No. 1. Its mass density is 4.10 Mg/m³.

a b c (Å): 5.0952 5.8759 7.7132
angles (deg): 102.17 108.22 90.57
Closest atoms and distances in Å follow each position.
Fractional positions:
Li (0.0000, 0.0000, 0.0000)  6 O 2.08-2.25
Li (0.0025, 0.3437, 0.3359)  6 O 2.06-2.20
Li (0.0061, 0.8453, 0.3376)  6 O 2.04-2.28
Li (0.0091, 0.5183, 0.9986)  6 O 2.08-2.24
Li (0.0107, 0.1746, 0.6729)  5 O 2.02-2.20
Li (0.0136, 0.6776, 0.6749)  6 O 2.02-2.22
Li (0.5072, 0.7604, 0.0048)  6 O 2.05-2.13
Mn (0.5036, 0.2641, 0.0034)  6 O 1.94-1.97
Mn (0.5046, 0.5976, 0.3346)  6 O 1.92-1.98
Co (0.5068, 0.0928, 0.3347)  4 O 1.92-1.94
Co (0.5071, 0.9230, 0.6763)  6 O 1.92-2.09
Co (0.5128, 0.4379, 0.6809)  6 O 1.88-2.10
O (0.2723, 0.3243, 0.1644)  2 Mn 1.95, 2 Li 2.08-2.18
O (0.2763, 0.4494, 0.8413)  1 Mn 1.95, 1 Co 1.97, 3 Li 2.02-2.09
O (0.2783, 0.6307, 0.5013)  1 Mn 1.96, 2 Co 2.03-2.07, 3 Li 2.09-2.17
O (0.2813, 0.9834, 0.8366)  1 Co 1.92, 1 Mn 1.95, 3 Li 2.07-2.14
O (0.2858, 0.8067, 0.1951)  1 Co 1.92, 1 Mn 1.93, 2 Li 2.04-2.09
O (0.2944, 0.1391, 0.5055)  3 Co 1.93-2.09, 1 Li 2.15
O (0.7198, 0.0702, 0.1669)  1 Co 1.92, 1 Mn 1.97, 2 Li 2.05-2.06
O (0.7197, 0.3834, 0.4823)  2 Co 1.94-2.09, 1 Mn 1.98, 1 Li 2.08
O (0.7262, 0.5424, 0.1714)  2 Mn 1.92-1.95, 2 Li 2.09-2.12
O (0.7379, 0.2192, 0.8460)  1 Mn 1.94, 2 Co 2.04-2.10, 2 Li 2.11-2.13
O (0.7419, 0.8656, 0.5042)  1 Mn 1.94, 1 Co 2.03, 3 Li 2.09-2.17
O (0.7486, 0.7061, 0.8246)  2 Co 1.88-2.05, 4 Li 2.02-2.11

=====

## Li5Mn2CoO8 (PBE+U)

Data for an optimized crystal structure of Li5Mn2CoO8.

Output
Its total energy after the MP2020 corrections is -213.167 eV per cell. The formation energy is -2.00 eV per atom. The calculation puts the energy at -6.01 eV per atom. The energy above the most stable polymorph in this dataset comes out at 33 meV/atom. As for the space-group type: No. 2. Its mass density is 3.94 Mg/m³.

a b c (Å): 2.8793 5.0832 19.1510
angles (deg): 85.54 89.98 89.99
Closest atoms and distances in Å follow each position.
Fractional positions:
Li (0.0000, 0.0000, 0.0000)  6 O 2.13-2.15
Li (0.0001, 0.2489, 0.2492)  6 O 2.17-2.25
Li (0.0000, 0.5000, 0.5000)  6 O 2.14-2.20
Li (0.9999, 0.7511, 0.7508)  6 O 2.17-2.25
Li (0.4981, 0.1168, 0.1277)  4 O 1.98-2.18
Li (0.4977, 0.6209, 0.6317)  4 O 1.98-2.07
Li (0.4994, 0.2509, 0.7524)  6 O 2.08-2.09
Li (0.5006, 0.7491, 0.2476)  6 O 2.08-2.09
Li (0.5023, 0.3791, 0.3683)  4 O 1.98-2.07
Li (0.5019, 0.8832, 0.8723)  4 O 1.98-2.18
Mn (0.0011, 0.3705, 0.8737)  5 O 1.82-1.99
Mn (0.0027, 0.8525, 0.3706)  5 O 1.82-1.98
Mn (0.9973, 0.1475, 0.6294)  5 O 1.82-1.98
Mn (0.9989, 0.6295, 0.1263)  5 O 1.82-1.99
Co (0.5000, 0.0000, 0.5000)  6 O 1.93-2.12
Co (0.5000, 0.5000, 0.0000)  6 O 1.94
O (0.9997, 0.3433, 0.0571)  2 Co 1.94, 1 Mn 2.04, 1 Li 2.13
O (0.0003, 0.6567, 0.9429)  2 Co 1.94, 1 Mn 2.04, 1 Li 2.13
O (0.0013, 0.0860, 0.8213)  1 Mn 1.82, 2 Li 1.98
O (0.0023, 0.1450, 0.4416)  2 Co 1.93-1.94, 1 Mn 2.09
O (0.0025, 0.5765, 0.3157)  1 Mn 1.82, 2 Li 1.98
O (0.4969, 0.9631, 0.6799)  2 Mn 1.93-1.94, 2 Li 2.03-2.09
O (0.4977, 0.3058, 0.5694)  2 Mn 1.97-1.98, 3 Li 2.07-2.15, 1 Co 2.12
O (0.4990, 0.4529, 0.1782)  2 Mn 1.93, 2 Li 2.03-2.08
O (0.4994, 0.7794, 0.0637)  1 Co 1.94, 2 Mn 1.99, 2 Li 2.15
O (0.5006, 0.2206, 0.9363)  1 Co 1.94, 2 Mn 1.99, 2 Li 2.15
O (0.5010, 0.5471, 0.8218)  2 Mn 1.93, 2 Li 2.03-2.08
O (0.5023, 0.6942, 0.4306)  2 Mn 1.97-1.98, 3 Li 2.07-2.15, 1 Co 2.12
O (0.5031, 0.0369, 0.3201)  2 Mn 1.93-1.94, 2 Li 2.03-2.09
O (0.9975, 0.4235, 0.6843)  1 Mn 1.82, 2 Li 1.98
O (0.9977, 0.8550, 0.5584)  2 Co 1.93-1.94, 1 Mn 2.09
O (0.9987, 0.9140, 0.1787)  1 Mn 1.82, 2 Li 1.98